# GGA-PBE Ba4HoCu3O9, relaxed
data_Ba4HoCu3O9
_chemical_formula_sum 'Ba8 Ho2 Cu6 O18'
_cell_length_a 8.144
_cell_length_b 8.144
_cell_length_c 8.144
_cell_angle_alpha 90.00
_cell_angle_beta 90.00
_cell_angle_gamma 90.00
_symmetry_space_group_name_H-M 'P 1'
_symmetry_Int_Tables_number 1
_symmetry_space_group_name_Hall 'P 1'
loop_
_atom_site_label
_atom_site_fract_x
_atom_site_fract_y
_atom_site_fract_z
O1 0.500 0.500 0.772
O2 0.000 0.000 0.728
O3 0.772 0.500 0.500
O4 0.500 0.228 0.500
O5 0.250 0.000 0.500
O6 0.000 0.000 0.272
O7 0.750 0.000 0.500
O8 0.500 0.500 0.228
O9 0.500 0.750 0.000
O10 0.000 0.500 0.250
O11 0.500 0.772 0.500
O12 0.272 0.000 0.000
O13 0.000 0.728 0.000
O14 0.000 0.272 0.000
O15 0.228 0.500 0.500
O16 0.500 0.250 0.000
O17 0.000 0.500 0.750
O18 0.728 0.000 0.000
Ba1 0.250 0.250 0.250
Ba2 0.750 0.250 0.250
Ba3 0.250 0.250 0.750
Ba4 0.250 0.750 0.750
Ba5 0.750 0.750 0.750
Ba6 0.750 0.250 0.750
Ba7 0.250 0.750 0.250
Ba8 0.750 0.750 0.250
Cu1 0.000 0.000 0.500
Cu2 0.000 0.500 0.500
Cu3 0.000 0.500 0.000
Cu4 0.500 0.500 0.000
Cu5 0.500 0.000 0.500
Cu6 0.500 0.000 0.000
Ho1 0.500 0.500 0.500
Ho2 0.000 0.000 0.000
# * ΔE_f: -2.40 eV/atom
# * symmetry: No. 223

=====

# GGA-PBE Ba2Ho2CuPtO8, relaxed
data_Ba2Ho2CuPtO8
_chemical_formula_sum 'Ba8 Ho8 Cu4 Pt4 O32'
_cell_length_a 5.731
_cell_length_b 10.428
_cell_length_c 13.369
_cell_angle_alpha 90.00
_cell_angle_beta 90.00
_cell_angle_gamma 90.00
_symmetry_space_group_name_H-M 'P 1'
_symmetry_Int_Tables_number 1
_symmetry_space_group_name_Hall 'P 1'
loop_
_atom_site_label
_atom_site_fract_x
_atom_site_fract_y
_atom_site_fract_z
Ho1 0.250 0.487 0.917
Ho2 0.750 0.987 0.583
Ho3 0.750 0.513 0.083
Ho4 0.250 0.312 0.142
Ho5 0.250 0.188 0.642
Ho6 0.250 0.013 0.417
Ho7 0.750 0.812 0.358
Ho8 0.750 0.688 0.858
Ba1 0.750 0.315 0.793
Ba2 0.750 0.592 0.577
Ba3 0.250 0.092 0.923
Ba4 0.250 0.685 0.207
Ba5 0.250 0.408 0.423
Ba6 0.750 0.185 0.293
Ba7 0.250 0.815 0.707
Ba8 0.750 0.908 0.077
O1 0.005 0.864 0.492
O2 0.250 0.186 0.296
O3 0.991 0.443 0.216
O4 0.750 0.110 0.911
O5 0.492 0.139 0.114
O6 0.992 0.639 0.386
O7 0.009 0.557 0.784
O8 0.508 0.861 0.886
O9 0.995 0.136 0.508
O10 0.491 0.943 0.284
O11 0.009 0.943 0.284
O12 0.491 0.557 0.784
O13 0.250 0.610 0.589
O14 0.250 0.890 0.089
O15 0.495 0.864 0.492
O16 0.509 0.057 0.716
O17 0.508 0.639 0.386
O18 0.008 0.139 0.114
O19 0.492 0.361 0.614
O20 0.750 0.390 0.411
O21 0.250 0.314 0.796
O22 0.505 0.136 0.508
O23 0.995 0.364 0.008
O24 0.991 0.057 0.716
O25 0.750 0.686 0.204
O26 0.992 0.861 0.886
O27 0.750 0.814 0.704
O28 0.505 0.364 0.008
O29 0.495 0.636 0.992
O30 0.509 0.443 0.216
O31 0.005 0.636 0.992
O32 0.008 0.361 0.614
Pt1 0.750 0.532 0.306
Pt2 0.250 0.032 0.194
Pt3 0.250 0.468 0.694
Pt4 0.750 0.968 0.806
Cu1 0.750 0.233 0.039
Cu2 0.750 0.267 0.539
Cu3 0.250 0.733 0.461
Cu4 0.250 0.767 0.961
# * ΔE_f: -2.69 eV/atom
# * symmetry: No. 62